26
Lattice="-12.0378 2.6863 2.6880 12.0378 -2.6863 2.6880 12.0378 2.6863 -2.6880" Properties=species:S:1:pos:R:3 comment="PBE-GGA Sr2YCu2AgO7, optimized geometry" space_group="Ima2, No. 46" ef_ev_per_atom=-2.1062 pbc="T T T"
Sr 3.6402 0.0042 0.0000
Sr 8.3976 0.0042 0.0000
Sr 3.6402 2.6821 2.6880
Sr 8.3976 2.6821 2.6880
Y 0.0000 2.6863 2.6489
Y 0.0000 0.0000 5.3368
Cu 1.7670 -0.0025 2.6594
Cu 10.2708 -0.0025 2.6594
Cu 1.7670 2.6889 -0.0285
Cu 10.2708 2.6889 -0.0285
Ag 6.0189 2.5970 -0.0681
Ag 6.0189 0.0893 2.6199
O 18.0566 -0.2048 0.3454
O 6.0189 0.2048 0.3454
O -1.4484 1.3333 1.3065
O 13.4862 1.3333 1.3065
O 1.4564 1.3457 1.3117
O 10.5813 1.3457 1.3117
O 3.9242 2.6784 -0.0050
O 8.1135 2.6784 -0.0050
O 3.9242 0.0079 2.6829
O 8.1135 0.0079 2.6829
O -1.4564 4.0270 1.3117
O 1.4564 1.3407 3.9997
O 1.4484 4.0393 1.3065
O -1.4484 1.3530 3.9945

11
Lattice="10.3377 -1.5311 0.0000 10.3377 1.5311 0.0000 -1.0391 0.0000 4.9313" Properties=species:S:1:pos:R:3 comment="PBE-GGA Ga2C3N6, optimized geometry" e_above_lowest_polymorph_ev_per_atom=0.094 space_group="C2/m, No. 12" ef_ev_per_atom=-0.0842 pbc="T T T"
Ga 2.9166 0.0000 0.0030
Ga 16.7196 0.0000 4.9282
C 0.0000 0.0000 0.0000
C 6.4366 0.0000 2.3389
C 13.1996 0.0000 2.5924
N 0.0805 0.0000 4.4417
N 6.6335 0.0000 1.1216
N 6.1938 0.0000 3.5442
N 13.4424 0.0000 1.3871
N 13.0027 0.0000 3.8097
N 19.5557 0.0000 0.4896

96
Lattice="6.9510 0.0000 0.0000 0.0000 11.5671 0.0000 0.0000 0.0000 15.5734" Properties=species:S:1:pos:R:3 comment="PBE-GGA CuH4C2S2N2Cl, optimized geometry" space_group="Pbca, No. 61" ef_ev_per_atom=-0.3265 pbc="T T T"
Cu 0.7992 2.8253 2.6162
Cu 0.7992 2.9582 10.4029
Cu 2.6763 8.6089 2.6162
Cu 2.6763 8.7418 10.4029
Cu 4.2747 2.8253 5.1705
Cu 4.2747 2.9582 12.9573
Cu 6.1518 8.6089 5.1705
Cu 6.1518 8.7418 12.9573
H 0.1493 0.7883 6.3226
H 0.1493 4.9953 14.1093
H 0.5106 0.9320 4.5922
H 0.5106 4.8515 12.3789
H 1.0934 0.8418 14.3064
H 1.0934 4.9418 6.5197
H 1.1009 1.0503 0.4978
H 1.1009 4.7332 8.2845
H 2.3746 6.8339 0.4978
H 2.3746 10.5168 8.2845
H 2.3821 6.6253 14.3064
H 2.3821 10.7253 6.5197
H 2.9649 6.7156 4.5922
H 2.9649 10.6350 12.3789
H 3.3262 6.5718 6.3226
H 3.3262 10.7788 14.1093
H 3.6248 0.7883 1.4641
H 3.6248 4.9953 9.2508
H 3.9861 0.9320 3.1946
H 3.9861 4.8515 10.9813
H 4.5689 0.8418 9.0538
H 4.5689 4.9418 1.2670
H 4.5764 1.0503 7.2889
H 4.5764 4.7332 15.0756
H 5.8501 6.8339 7.2889
H 5.8501 10.5168 15.0756
H 5.8576 6.6253 9.0538
H 5.8576 10.7253 1.2670
H 6.4404 6.7156 3.1946
H 6.4404 10.6350 10.9813
H 6.8017 6.5718 1.4641
H 6.8017 10.7788 9.2508
C 1.1006 2.5016 5.7716
C 1.1006 3.2820 13.5583
C 1.1193 2.7682 14.9661
C 1.1193 3.0154 7.1793
C 2.3562 8.5517 14.9661
C 2.3562 8.7989 7.1793
C 2.3749 8.2851 5.7716
C 2.3749 9.0655 13.5583
C 4.5761 2.5016 2.0151
C 4.5761 3.2820 9.8018
C 4.5948 2.7682 8.3941
C 4.5948 3.0154 0.6074
C 5.8317 8.5517 8.3941
C 5.8317 8.7989 0.6074
C 5.8504 8.2851 2.0151
C 5.8504 9.0655 9.8018
S 1.1202 1.9052 8.4543
S 1.1202 3.8783 0.6676
S 1.7082 8.0864 12.3398
S 1.7082 9.2642 4.5531
S 1.7673 2.3029 12.3398
S 1.7673 3.4807 4.5531
S 2.3553 7.6888 8.4543
S 2.3553 9.6618 0.6676
S 4.5957 1.9052 14.9058
S 4.5957 3.8783 7.1191
S 5.1837 8.0864 11.0203
S 5.1837 9.2642 3.2336
S 5.2428 2.3029 11.0203
S 5.2428 3.4807 3.2336
S 5.8308 7.6888 14.9058
S 5.8308 9.6618 7.1191
N 0.5546 1.3209 5.5508
N 0.5546 4.4627 13.3375
N 1.1735 1.4576 15.1227
N 1.1735 4.3259 7.3360
N 2.3020 7.2412 15.1227
N 2.3020 10.1094 7.3360
N 2.9209 7.1044 5.5508
N 2.9209 10.2462 13.3375
N 4.0301 1.3209 2.2360
N 4.0301 4.4627 10.0227
N 4.6490 1.4576 8.2375
N 4.6490 4.3259 0.4508
N 5.7775 7.2412 8.2375
N 5.7775 10.1094 0.4508
N 6.3964 7.1044 2.2360
N 6.3964 10.2462 10.0227
Cl 0.5915 0.5097 2.5051
Cl 0.5915 5.2739 10.2918
Cl 2.8840 6.2932 2.5051
Cl 2.8840 11.0574 10.2918
Cl 4.0670 0.5097 5.2816
Cl 4.0670 5.2739 13.0683
Cl 6.3595 6.2932 5.2816
Cl 6.3595 11.0574 13.0683

28
Lattice="5.2818 0.0000 0.0000 0.0000 10.1388 0.0000 -5.2428 0.0000 7.4530" Properties=species:S:1:pos:R:3 comment="PBE-GGA NaZnPO4, optimized geometry" e_above_lowest_polymorph_ev_per_atom=0.000 space_group="P2_1/c, No. 14" ef_ev_per_atom=-2.4908 pbc="T T T"
Na -1.4750 1.1880 3.5962
Na -4.0964 3.8814 7.3227
Na 4.1353 6.2574 0.1303
Na 1.5139 8.9508 3.8568
Zn -1.0633 6.7800 3.7919
Zn 1.5581 8.4282 0.0654
Zn -1.5192 1.7106 7.3876
Zn 1.1022 3.3588 3.6611
P 1.0750 1.0050 1.6292
P -1.5464 4.0643 5.3557
P 1.5853 6.0744 2.0973
P -1.0361 9.1337 5.8238
O -0.4482 1.2852 1.4929
O -3.0696 3.7842 5.2195
O 1.1576 6.5455 0.6592
O -1.4639 8.6627 4.3857
O 1.8332 1.7654 0.5165
O -0.7882 3.3040 4.2430
O -1.2399 5.5846 5.3345
O 1.3815 9.6236 1.6080
O -1.3426 0.5152 5.8450
O 1.2788 4.5542 2.1185
O 0.8272 6.8348 3.2100
O -1.7942 8.3734 6.9365
O 1.5028 1.4761 3.0673
O -1.1186 3.5933 6.7938
O 3.1085 6.3546 2.2336
O 0.4871 8.8536 5.9601

16
Lattice="5.0704 0.0000 0.0000 0.0000 6.3304 0.0000 0.0000 0.0000 11.0326" Properties=species:S:1:pos:R:3 comment="PBE-GGA LiHfMg6, optimized geometry" e_above_lowest_polymorph_ev_per_atom=0.000 ef_ev_per_atom=0.1218 pbc="T T T"
Mg 2.5352 1.5549 10.1211
Mg 0.0000 4.7767 6.4517
Mg 2.5352 3.1652 7.3329
Mg 0.0000 4.7188 0.9355
Mg 0.0000 0.0000 3.6763
Mg 2.5352 4.7201 4.6048
Mg 2.5352 4.7755 10.1211
Mg 2.5352 0.0000 1.8166
Mg 0.0000 1.5537 6.4517
Mg 2.5352 1.6103 4.6048
Mg 0.0000 1.6115 0.9355
Mg 0.0000 3.1652 9.1926
Li 0.0000 0.0000 9.1816
Li 0.0000 3.1652 3.6653
Hf 2.5352 3.1652 1.8264
Hf 2.5352 0.0000 7.3427

105
Lattice="8.5161 0.0000 0.0000 4.2402 7.4028 0.0000 0.2098 0.1199 22.2749" Properties=species:S:1:pos:R:3 comment="PBE-GGA NaTaGa3P3S3O24, optimized geometry" space_group="P1, No. 1" ef_ev_per_atom=-2.3726 pbc="T T T"
Na 0.0000 0.0000 0.0000
Na 4.4031 7.3654 11.2209
Na 8.5602 4.8472 3.6773
Ta 4.4195 7.3549 7.8105
Ta 4.5278 2.5528 15.3641
Ta 8.7519 5.0496 18.0350
Ga 4.4154 7.4681 18.9525
Ga 0.1473 0.0789 3.2622
Ga 4.4881 7.3884 14.4477
Ga 4.3935 2.6404 10.6560
Ga 4.4020 2.5588 4.1659
Ga 4.6470 2.4594 21.8261
Ga 8.6985 4.9804 11.6172
Ga 8.5895 4.8789 0.4312
Ga 8.6794 4.8490 6.9345
P 3.2909 5.3966 16.6869
P 1.3982 2.1742 5.4714
P 6.8274 7.4754 16.7012
P 5.6583 5.2352 5.4558
P 5.7022 4.7040 12.9064
P 6.8280 2.4418 1.8453
P 10.0151 7.1605 20.4750
P 7.5968 2.1226 16.6747
P 11.0465 4.9142 9.2913
S 1.9615 2.4893 12.9400
S 3.1100 4.5926 1.8137
S 3.1232 0.3029 1.8402
S 6.2588 5.0243 20.4498
S 7.4924 7.1129 9.2855
S 5.6910 0.3656 12.9107
S 7.4080 2.8243 9.2928
S 10.3797 7.3966 5.5038
S 10.0385 2.8378 20.4465
O 1.1010 1.2971 13.0906
O 1.0910 1.2875 6.7575
O 3.7378 5.9320 1.9489
O 3.9564 5.9022 17.9410
O 3.2903 3.7753 3.0346
O 2.8278 2.6778 14.1441
O 2.9746 2.7806 20.5789
O 3.4476 3.7097 9.4395
O 3.6841 3.9824 0.5909
O 2.7777 2.2091 11.7371
O 5.0424 6.0796 13.0943
O 3.8556 3.9576 16.4550
O 1.8163 0.3550 17.9672
O 1.6428 0.1398 1.9390
O 5.0078 5.9280 6.7543
O 2.9010 2.2249 5.3270
O 5.4515 6.2431 20.2737
O 5.9611 7.2647 9.1312
O 5.4000 6.1452 4.2592
O 6.0760 7.1596 15.4275
O 5.0189 4.0698 11.6957
O 3.2868 1.1226 0.6116
O 3.5398 1.2767 16.4372
O 4.9742 3.8892 5.3963
O 5.4351 3.8214 20.5562
O 5.4244 3.8088 14.1648
O 3.8204 1.0403 9.4694
O 3.7153 0.9013 3.0441
O 7.5989 6.2618 10.4836
O 7.1098 5.2647 21.6251
O 7.7728 6.2517 16.9217
O 7.1661 5.1626 5.7317
O 8.0184 6.5141 8.0612
O 7.1122 4.8017 19.2205
O 5.0739 1.1071 20.5566
O 7.9919 6.3608 1.7049
O 5.9680 2.6223 9.4582
O 7.2156 4.7764 12.7603
O 5.9815 2.6971 3.1029
O 5.1047 1.0068 14.1405
O 5.3445 1.2005 5.4109
O 6.0521 2.3129 16.4514
O 5.4452 1.1934 11.7163
O 5.9984 2.1866 0.5736
O 7.5860 3.6215 8.0723
O 9.2869 6.4534 12.8329
O 7.7058 3.7109 1.6839
O 9.3962 6.4513 19.2076
O 9.5520 6.1980 5.7108
O 8.1400 3.5533 16.9238
O 8.0737 3.3770 10.4806
O 9.7983 6.2554 21.6876
O 7.6975 1.3088 17.9407
O 7.0218 0.1936 6.7420
O 7.1573 0.2556 13.0636
O 7.7057 1.1740 1.9781
O 11.2119 7.1122 4.3263
O 8.0442 1.4589 9.1144
O 10.2365 5.2398 10.5518
O 9.2554 3.5467 5.6774
O 8.1964 1.5776 15.3948
O 10.2839 5.1668 16.9066
O 11.5385 7.2843 20.2900
O 9.3778 3.4285 21.6291
O 10.1407 4.7370 1.7050
O 10.2182 4.7267 8.0310
O 9.6815 3.7124 12.8250
O 9.7443 3.6720 19.2177
O 11.8921 6.2048 15.4108
O 9.1771 1.5650 4.2847
O 11.9635 6.1939 9.0994
O 9.4253 1.5038 20.2798

14
Lattice="5.1169 -2.9402 0.0000 5.1169 2.9402 0.0000 -3.6629 0.0000 5.2005" Properties=species:S:1:pos:R:3 comment="PBE-GGA MgTi3Zn2O8, optimized geometry" e_above_lowest_polymorph_ev_per_atom=0.239 space_group="C2/m, No. 12" ef_ev_per_atom=-2.6651 pbc="T T T"
Mg 0.0000 0.0000 0.0000
Ti 2.5585 1.4701 0.0000
Ti 2.5585 -1.4701 0.0000
Ti 3.2855 0.0000 2.6002
Zn -0.2745 0.0000 2.4978
Zn 6.8455 0.0000 2.7026
O 4.0561 1.5096 1.3718
O 1.6452 0.0000 1.2041
O 2.5149 1.5096 3.8287
O -0.1740 0.0000 4.3336
O 6.7450 0.0000 0.8669
O 4.0561 -1.5096 1.3718
O 4.9258 0.0000 3.9964
O 2.5149 -1.5096 3.8287

24
Lattice="13.3323 0.0000 0.0000 0.0000 5.4938 0.0000 0.0000 0.0000 7.0227" Properties=species:S:1:pos:R:3 comment="PBE-GGA SrAl2Au3, optimized geometry" space_group="Pnma, No. 62" ef_ev_per_atom=-0.6429 pbc="T T T"
Sr 1.1933 1.3734 1.0754
Sr 5.4728 4.1203 4.5867
Sr 7.8595 1.3734 2.4360
Sr 12.1389 4.1203 5.9473
Al 2.0123 2.7509 4.5124
Al 2.0123 5.4898 4.5124
Al 4.6538 0.0040 1.0010
Al 4.6538 2.7429 1.0010
Al 8.6785 2.7509 6.0217
Al 8.6785 5.4898 6.0217
Al 11.3200 0.0040 2.5103
Al 11.3200 2.7429 2.5103
Au 0.1058 4.1203 2.8301
Au 2.5763 4.1203 6.6115
Au 2.9039 4.1203 2.4432
Au 3.7622 1.3734 5.9546
Au 4.0898 1.3734 3.1002
Au 6.5604 1.3734 6.3415
Au 6.7719 4.1203 0.6813
Au 9.2425 4.1203 3.9225
Au 9.5700 4.1203 1.0681
Au 10.4284 1.3734 4.5795
Au 10.7560 1.3734 0.4112
Au 13.2265 1.3734 4.1926